Record 1
## NdAl7Au3 (meta-GGA r2SCAN)

Data for a relaxed NdAl7Au3 crystal.

```
data_NdAl7Au3
_chemical_formula_sum 'Nd2 Al14 Au6'
_cell_length_a 8.440
_cell_length_b 8.440
_cell_length_c 8.440
_cell_angle_alpha 57.39
_cell_angle_beta 57.39
_cell_angle_gamma 57.39
_space_group_name_H-M_alt 'P 1'
_space_group_IT_number 1
loop_
_space_group_symop_operation_xyz
'x,y,z'
loop_
_atom_site_label
_atom_site_type_symbol
_atom_site_fract_x
_atom_site_fract_y
_atom_site_fract_z
Nd1 Nd 0.000 0.000 0.000
Nd2 Nd 0.500 0.500 0.500
Al1 Al 0.068 0.853 0.669
Al2 Al 0.147 0.331 0.932
Al3 Al 0.169 0.353 0.568
Al4 Al 0.250 0.250 0.250
Al5 Al 0.331 0.932 0.147
Al6 Al 0.353 0.568 0.169
Al7 Al 0.432 0.831 0.647
Al8 Al 0.568 0.169 0.353
Al9 Al 0.647 0.432 0.831
Al10 Al 0.669 0.068 0.853
Al11 Al 0.750 0.750 0.750
Al12 Al 0.831 0.647 0.432
Al13 Al 0.853 0.669 0.068
Al14 Al 0.932 0.147 0.331
Au1 Au 0.072 0.750 0.428
Au2 Au 0.250 0.572 0.928
Au3 Au 0.428 0.072 0.750
Au4 Au 0.572 0.928 0.250
Au5 Au 0.750 0.428 0.072
Au6 Au 0.928 0.250 0.572
```

- ΔE_f: -0.58 eV per atom
- E_tot: -21.333 eV per atom
- Density: 7.68 g cm⁻³
- Space group: R-3c, No. 167



Record 2
## ScAlAu (meta-GGA r2SCAN)

Data for a relaxed ScAlAu crystal.

```
data_ScAlAu
_chemical_formula_sum 'Sc6 Al6 Au6'
_cell_length_a 7.140
_cell_length_b 7.140
_cell_length_c 7.528
_cell_angle_alpha 90.00
_cell_angle_beta 90.00
_cell_angle_gamma 120.00
_space_group_name_H-M_alt 'P 1'
_space_group_IT_number 1
loop_
_space_group_symop_operation_xyz
'x,y,z'
loop_
_atom_site_label
_atom_site_type_symbol
_atom_site_fract_x
_atom_site_fract_y
_atom_site_fract_z
Sc1 Sc 0.005 0.596 0.250
Sc2 Sc 0.404 0.408 0.250
Sc3 Sc 0.408 0.404 0.750
Sc4 Sc 0.592 0.995 0.250
Sc5 Sc 0.596 0.005 0.750
Sc6 Sc 0.995 0.592 0.750
Al1 Al 0.000 0.256 0.000
Al2 Al 0.000 0.256 0.500
Al3 Al 0.256 0.000 0.000
Al4 Al 0.256 0.000 0.500
Al5 Al 0.744 0.744 0.000
Al6 Al 0.744 0.744 0.500
Au1 Au 0.000 0.000 0.250
Au2 Au 0.000 0.000 0.750
Au3 Au 0.333 0.667 0.506
Au4 Au 0.333 0.667 0.994
Au5 Au 0.667 0.333 0.006
Au6 Au 0.667 0.333 0.494
```

- ΔE_f: -0.83 eV per atom
- E_tot: -23.738 eV per atom
- Density: 8.06 g cm⁻³
- Space group: P-62c, No. 190



Record 3
## SmAl8SiAu4 (meta-GGA r2SCAN)

Data for a relaxed SmAl8SiAu4 crystal.

```
data_SmAl8SiAu4
_chemical_formula_sum 'Sm2 Al16 Si2 Au8'
_cell_length_a 14.904
_cell_length_b 14.904
_cell_length_c 14.904
_cell_angle_alpha 156.78
_cell_angle_beta 156.78
_cell_angle_gamma 33.06
_space_group_name_H-M_alt 'P 1'
_space_group_IT_number 1
loop_
_space_group_symop_operation_xyz
'x,y,z'
loop_
_atom_site_label
_atom_site_type_symbol
_atom_site_fract_x
_atom_site_fract_y
_atom_site_fract_z
Sm1 Sm 0.250 0.750 0.500
Sm2 Sm 0.750 0.250 0.500
Al1 Al 0.093 0.093 0.499
Al2 Al 0.093 0.594 0.000
Al3 Al 0.197 0.197 0.500
Al4 Al 0.197 0.698 0.000
Al5 Al 0.302 0.302 0.500
Al6 Al 0.302 0.803 0.000
Al7 Al 0.406 0.406 0.499
Al8 Al 0.406 0.907 0.000
Al9 Al 0.594 0.093 0.000
Al10 Al 0.594 0.594 0.501
Al11 Al 0.698 0.197 0.000
Al12 Al 0.698 0.698 0.500
Al13 Al 0.803 0.302 0.000
Al14 Al 0.803 0.803 0.500
Al15 Al 0.907 0.406 0.000
Al16 Al 0.907 0.907 0.501
Si1 Si 0.208 0.208 0.000
Si2 Si 0.792 0.792 0.000
Au1 Au 0.000 0.000 0.000
Au2 Au 0.105 0.605 0.500
Au3 Au 0.293 0.293 0.000
Au4 Au 0.395 0.895 0.500
Au5 Au 0.500 0.500 0.000
Au6 Au 0.605 0.105 0.500
Au7 Au 0.707 0.707 0.000
Au8 Au 0.895 0.395 0.500
```

- ΔE_f: -0.59 eV per atom
- E_tot: -21.638 eV per atom
- Density: 7.64 g cm⁻³
- Space group: I4/mmm, No. 139



Record 4
## Tb2Al6Si4Au (meta-GGA r2SCAN)

Data for a relaxed Tb2Al6Si4Au crystal.

```
data_Tb2Al6Si4Au
_chemical_formula_sum 'Tb2 Al6 Si4 Au1'
_cell_length_a 17.012
_cell_length_b 17.012
_cell_length_c 17.012
_cell_angle_alpha 14.12
_cell_angle_beta 14.12
_cell_angle_gamma 14.12
_space_group_name_H-M_alt 'P 1'
_space_group_IT_number 1
loop_
_space_group_symop_operation_xyz
'x,y,z'
loop_
_atom_site_label
_atom_site_type_symbol
_atom_site_fract_x
_atom_site_fract_y
_atom_site_fract_z
Tb1 Tb 0.066 0.066 0.066
Tb2 Tb 0.934 0.934 0.934
Al1 Al 0.183 0.183 0.183
Al2 Al 0.315 0.315 0.315
Al3 Al 0.449 0.449 0.449
Al4 Al 0.551 0.551 0.551
Al5 Al 0.685 0.685 0.685
Al6 Al 0.817 0.817 0.817
Si1 Si 0.234 0.234 0.234
Si2 Si 0.365 0.365 0.365
Si3 Si 0.635 0.635 0.635
Si4 Si 0.766 0.766 0.766
Au1 Au 0.500 0.500 0.500
```

- ΔE_f: -0.45 eV per atom
- E_tot: -14.949 eV per atom
- Density: 5.13 g cm⁻³
- Space group: R-3m, No. 166